[1]
CaVSi4O15: relaxed, PBE+U.

Output
ΔH_f (0 K)	-2.037	eV per atom
E (MP2020)	-7.1325	eV/atom
volume	16.3	A^3/atom
VASP energy	-0.518	Ry per atom
symmetry	Pnma

POSCAR file:
```
CaVSi4O15
1.0
9.921 0.000 0.000
0.000 10.101 0.000
0.000 0.000 13.684
Si O V Ca
16 60 4 4
Cartesian
6.075 6.817 0.536 Si
8.806 1.766 13.148 Si
3.211 6.094 6.384 Si
6.075 6.817 6.306 Si
3.211 6.094 0.458 Si
8.171 9.058 6.384 Si
3.845 3.284 13.148 Si
6.710 4.007 7.300 Si
3.845 3.284 7.378 Si
6.710 4.007 13.226 Si
8.806 1.766 7.378 Si
1.115 8.335 0.536 Si
1.750 1.044 13.226 Si
1.750 1.044 7.300 Si
1.115 8.335 6.306 Si
8.171 9.058 0.458 Si
5.326 3.384 6.684 O
5.580 0.877 4.520 O
0.619 4.174 2.322 O
8.991 5.954 3.421 O
5.580 0.877 2.322 O
2.968 4.602 13.536 O
0.305 0.525 3.421 O
9.301 5.928 11.362 O
0.930 4.147 10.263 O
5.826 6.944 4.691 O
2.968 4.602 6.990 O
9.555 8.434 7.000 O
0.619 4.174 4.520 O
6.873 8.154 0.061 O
5.265 4.526 3.421 O
4.595 6.718 13.526 O
0.365 1.667 6.684 O
6.873 8.154 6.781 O
1.913 6.998 6.781 O
4.655 5.575 10.263 O
8.283 9.107 4.740 O
3.048 1.947 13.623 O
3.322 6.045 2.102 O
6.953 5.499 6.694 O
4.031 9.198 3.421 O
4.341 9.224 11.362 O
6.599 4.056 11.582 O
4.595 6.718 7.000 O
9.616 9.577 10.263 O
4.341 9.224 9.164 O
8.008 3.104 6.903 O
1.993 9.653 0.148 O
9.499 6.629 10.263 O
0.365 1.667 0.158 O
0.422 3.472 3.421 O
5.826 6.944 2.151 O
6.599 4.056 8.944 O
4.095 3.157 11.533 O
7.928 0.449 13.536 O
0.866 8.208 4.691 O
9.055 1.893 11.533 O
0.866 8.208 2.151 O
5.890 0.903 10.263 O
4.539 8.523 10.263 O
5.382 1.579 3.421 O
9.301 5.928 9.164 O
1.638 0.994 8.944 O
7.928 0.449 6.990 O
4.095 3.157 8.993 O
5.326 3.384 0.158 O
9.555 8.434 13.526 O
9.055 1.893 8.993 O
8.008 3.104 13.623 O
3.322 6.045 4.740 O
1.993 9.653 6.694 O
1.638 0.994 11.582 O
8.283 9.107 2.102 O
3.048 1.947 6.903 O
1.913 6.998 0.061 O
6.953 5.499 0.148 O
4.739 6.034 3.421 V
5.182 4.067 10.263 V
0.221 0.983 10.263 V
9.700 9.118 3.421 V
8.561 3.845 10.263 Ca
6.320 8.896 3.421 Ca
3.601 1.205 10.263 Ca
1.360 6.256 3.421 Ca
```


[2]
CaVSi4O10: relaxed, PBE+U.

Output
ΔH_f (0 K)	-3.130	eV per atom
E (MP2020)	-8.2718	eV/atom
volume	13.5	A^3/atom
VASP energy	-0.569	Ry per atom
symmetry	P4/ncc

POSCAR file:
```
CaVSi4O10
1.0
7.483 0.000 0.000
0.000 7.483 0.000
0.000 0.000 15.436
O Si V Ca
40 16 4 4
Cartesian
5.597 4.543 6.453 O
5.627 6.681 8.983 O
6.681 5.627 14.171 O
1.886 4.543 14.171 O
5.597 2.940 14.171 O
4.543 1.886 8.983 O
0.802 1.855 14.171 O
0.354 5.604 9.711 O
2.940 5.597 8.983 O
0.802 5.627 6.453 O
5.621 3.388 1.993 O
4.095 1.862 5.725 O
2.207 2.207 3.859 O
1.534 1.534 11.577 O
5.276 2.207 11.577 O
5.604 7.129 5.725 O
4.095 5.621 13.443 O
4.543 5.597 1.265 O
7.129 5.604 1.993 O
5.604 0.354 13.443 O
1.886 2.940 6.453 O
2.940 1.886 1.265 O
5.276 5.276 3.859 O
5.621 4.095 9.711 O
1.862 4.095 1.993 O
1.855 0.802 8.983 O
6.681 1.855 6.453 O
5.949 1.534 3.859 O
1.862 3.388 9.711 O
5.627 0.802 1.265 O
1.879 7.129 13.443 O
2.207 5.276 11.577 O
0.354 1.879 1.993 O
5.949 5.949 11.577 O
3.388 1.862 13.443 O
3.388 5.621 5.725 O
1.534 5.949 3.859 O
1.855 6.681 1.265 O
1.879 0.354 5.725 O
7.129 1.879 9.711 O
5.628 2.474 10.016 Si
5.009 5.628 5.421 Si
1.855 2.474 2.297 Si
5.596 1.268 5.421 Si
1.855 5.009 10.016 Si
1.268 1.887 10.016 Si
5.596 6.215 13.139 Si
6.215 1.887 2.297 Si
2.474 5.628 13.139 Si
1.887 6.215 5.421 Si
1.887 1.268 13.139 Si
5.628 5.009 2.297 Si
2.474 1.855 5.421 Si
6.215 5.596 10.016 Si
1.268 5.596 2.297 Si
5.009 1.855 13.139 Si
0.000 3.741 14.182 V
0.000 3.741 6.464 V
3.741 0.000 8.972 V
3.741 0.000 1.254 V
0.000 0.000 7.718 Ca
3.741 3.741 7.718 Ca
0.000 0.000 0.000 Ca
3.741 3.741 0.000 Ca
```


[3]
CaVSi4O15: relaxed, PBE+U.

Output
ΔH_f (0 K)	-2.047	eV per atom
E (MP2020)	-7.1428	eV/atom
volume	15.8	A^3/atom
VASP energy	-0.519	Ry per atom
symmetry	Cmc2_1

POSCAR file:
```
CaVSi4O15
1.0
0.304 6.147 -6.051
-8.258 -0.144 2.503
1.845 6.257 6.448
O Si Ca V
30 8 2 2
Cartesian
-5.049 5.644 7.926 O
-4.351 7.776 6.518 O
-5.082 9.386 -0.259 O
-2.409 6.921 -2.812 O
0.609 8.468 1.347 O
-2.138 4.954 1.503 O
-7.048 5.969 2.878 O
-0.293 10.758 2.463 O
-6.715 8.185 1.373 O
-0.900 7.391 -0.620 O
-3.282 9.642 3.805 O
-4.312 0.079 1.286 O
-6.497 7.160 -1.237 O
-3.560 4.084 -0.560 O
1.902 10.751 0.981 O
-2.291 4.345 -0.849 O
-6.732 3.746 1.507 O
-2.684 9.175 -1.482 O
-3.974 7.386 3.205 O
0.554 5.664 4.720 O
-2.798 7.334 2.593 O
-0.071 1.780 -0.837 O
0.052 3.286 -3.074 O
-0.446 8.698 -2.879 O
-4.958 4.410 3.435 O
-1.704 0.579 0.795 O
-2.595 8.399 1.828 O
-3.713 5.292 5.666 O
-3.670 3.332 0.528 O
-7.397 3.591 4.066 O
-4.257 3.992 4.847 Si
-6.519 4.441 2.965 Si
0.603 7.562 -0.008 Si
1.017 9.877 2.057 Si
-1.619 8.041 -1.931 Si
-3.883 6.277 6.953 Si
-2.498 6.077 -4.204 Si
-7.358 2.507 0.651 Si
-1.297 2.947 0.869 Ca
-4.785 9.404 2.126 Ca
-6.797 8.561 -0.508 V
1.421 6.184 5.970 V
```